First-principles (GGA-PBE) data for Ca3B6O20 after structural relaxation, as listed in Materials Project.

Calculated values
E_tot: -381.2 eV/cell
SG: No. 15

Cell: 8.2961 8.2961 13.4920 Å, 67.49 67.49 71.63°
Last column: nearest neighbours and their distance in Å.
Positions (direct):
O1 0.9201 0.3059 0.5202  1 O 1.23
O2 0.0162 0.7341 0.8839  1 B 1.46
O3 0.2158 0.3424 0.2929  2 B 1.39-1.46
O4 0.4599 0.6048 0.3815  1 B 1.43
O5 0.6576 0.7842 0.2071  2 B 1.39-1.46
O6 0.3059 0.9201 0.0202  1 O 1.23
O7 0.3328 0.9394 0.0982  1 O 1.23
O8 0.3952 0.5401 0.1185  1 B 1.43
O9 0.2849 0.4092 0.6193  1 B 1.47
O10 0.9394 0.3328 0.5982  1 O 1.23
O11 0.5208 0.8727 0.3800  2 B 1.47-1.49
O12 0.1437 0.0479 0.3559  1 B 1.33
O13 0.9521 0.8563 0.1441  1 B 1.33
O14 0.1928 0.4993 0.8528  1 B 1.43
O15 0.3017 0.9416 0.7946  2 B 1.43-1.54
O16 0.4993 0.1928 0.3528  1 B 1.43
O17 0.6941 0.0799 0.9798  1 O 1.23
O18 0.7341 0.0162 0.3839  1 B 1.46
O19 0.5401 0.3952 0.6185  1 B 1.43
O20 0.1273 0.4792 0.1200  2 B 1.47-1.49
O21 0.5007 0.8072 0.6472  1 B 1.43
O22 0.9838 0.2659 0.1161  1 B 1.46
O23 0.6048 0.4599 0.8815  1 B 1.43
O24 0.4792 0.1273 0.6200  2 B 1.47-1.49
O25 0.0584 0.6983 0.7054  2 B 1.43-1.54
O26 0.9416 0.3017 0.2946  2 B 1.43-1.54
O27 0.5908 0.7151 0.8807  1 B 1.47
O28 0.6672 0.0606 0.9018  1 O 1.23
O29 0.2659 0.9838 0.6161  1 B 1.46
O30 0.8727 0.5208 0.8800  2 B 1.47-1.49
O31 0.4092 0.2849 0.1193  1 B 1.47
O32 0.0799 0.6941 0.4798  1 O 1.23
O33 0.7842 0.6576 0.7071  2 B 1.39-1.46
O34 0.8072 0.5007 0.1472  1 B 1.43
O35 0.7151 0.5908 0.3807  1 B 1.47
O36 0.6983 0.0584 0.2054  2 B 1.43-1.54
O37 0.0479 0.1437 0.8559  1 B 1.33
O38 0.0606 0.6672 0.4018  1 O 1.23
O39 0.3424 0.2158 0.7929  2 B 1.39-1.46
O40 0.8563 0.9521 0.6441  1 B 1.33
B1 0.6039 0.0288 0.3321  4 O 1.43-1.54
B2 0.4185 0.2753 0.6704  4 O 1.43-1.49
B3 0.2753 0.4185 0.1704  4 O 1.43-1.49
B4 0.8946 0.7751 0.6774  3 O 1.33-1.43
B5 0.7247 0.5815 0.8296  4 O 1.43-1.49
B6 0.0288 0.6039 0.8321  4 O 1.43-1.54
B7 0.7751 0.8946 0.1774  3 O 1.33-1.43
B8 0.2249 0.1054 0.8226  3 O 1.33-1.43
B9 0.3961 0.9712 0.6679  4 O 1.43-1.54
B10 0.9712 0.3961 0.1679  4 O 1.43-1.54
B11 0.5815 0.7247 0.3296  4 O 1.43-1.49
B12 0.1054 0.2249 0.3226  3 O 1.33-1.43
Ca1 0.7008 0.3663 0.0639  7 O 2.37-2.63
Ca2 0.0100 0.9900 0.2500  4 O 2.32-2.36
Ca3 0.3663 0.7008 0.5639  7 O 2.37-2.63
Ca4 0.9900 0.0100 0.7500  4 O 2.32-2.36
Ca5 0.2992 0.6337 0.9361  7 O 2.37-2.63
Ca6 0.6337 0.2992 0.4361  7 O 2.37-2.63